[1]
The following is a GGA-PBE calculation of a geometry-optimized NdReO3 structure, from the Materials Project database.

Unit cell a=4.001 b=4.001 c=4.001 alpha=90.00 beta=90.00 gamma=90.00
Atoms (fractional coordinates):
O  0.500  0.000  0.500
O  0.500  0.500  0.000
Re  0.500  0.500  0.500
Nd  0.000  0.000  0.000
O  0.000  0.500  0.500

Properties
total magnetic moment	1.0	μB per formula unit



[2]
The following is a GGA-PBE calculation of a geometry-optimized Nd3RuO7 structure, from the Materials Project database.

Unit cell a=7.509 b=7.610 c=10.972 alpha=90.00 beta=90.14 gamma=90.00
Atoms (fractional coordinates):
O  0.201  0.463  0.384
Nd  0.804  0.250  0.718
O  0.679  0.040  0.871
O  0.584  0.750  0.996
O  0.799  0.537  0.616
O  0.799  0.963  0.616
O  0.533  0.250  0.369
O  0.835  0.543  0.364
O  0.032  0.250  0.133
O  0.968  0.750  0.867
O  0.165  0.043  0.636
Nd  0.807  0.250  0.275
O  0.918  0.250  0.494
O  0.835  0.957  0.364
O  0.019  0.250  0.869
O  0.691  0.039  0.122
Nd  0.000  0.000  0.000
Nd  0.193  0.750  0.725
Ru  0.000  0.500  0.500
O  0.691  0.461  0.122
O  0.309  0.961  0.878
Nd  0.301  0.250  0.782
Nd  0.500  0.000  0.500
O  0.981  0.750  0.131
O  0.679  0.460  0.871
Nd  0.309  0.250  0.224
Nd  0.196  0.750  0.282
O  0.321  0.540  0.129
Nd  0.500  0.500  0.500
O  0.082  0.750  0.506
O  0.467  0.750  0.631
Ru  0.500  0.500  0.000
O  0.483  0.750  0.368
Nd  0.000  0.500  0.000
O  0.165  0.457  0.636
O  0.517  0.250  0.632
Ru  0.000  0.000  0.500
Ru  0.500  0.000  0.000
Nd  0.691  0.750  0.776
Nd  0.699  0.750  0.218
O  0.201  0.037  0.384
O  0.321  0.960  0.129
O  0.416  0.250  0.004
O  0.309  0.539  0.878

Properties
total magnetic moment	3.0	μB per formula unit



[3]
The following is a GGA-PBE calculation of a geometry-optimized Nd3RuO7 structure, from the Materials Project database.

Unit cell a=6.639 b=6.639 c=7.613 alpha=90.00 beta=90.00 gamma=111.46
Atoms (fractional coordinates):
O  0.189  0.440  0.961
O  0.583  0.583  0.750
Nd  0.472  0.914  0.750
O  0.560  0.811  0.461
O  0.440  0.189  0.961
Nd  0.528  0.086  0.250
O  0.811  0.560  0.039
Nd  0.000  0.000  0.500
Nd  0.000  0.000  0.000
O  0.895  0.158  0.250
O  0.560  0.811  0.039
Ru  0.500  0.500  0.500
Ru  0.500  0.500  0.000
O  0.842  0.105  0.750
O  0.158  0.895  0.250
O  0.440  0.189  0.539
Nd  0.086  0.528  0.250
Nd  0.914  0.472  0.750
O  0.811  0.560  0.461
O  0.189  0.440  0.539
O  0.105  0.842  0.750
O  0.417  0.417  0.250



V per entry: 12.807 14.248 14.196 Å³ per atom
Energy relative to the elements per entry: -2.2100 -3.0738 -3.0753 eV/atom
Total energy after the MP2020 corrections per entry: -8.62 -8.37 -8.37 eV/atom